(1)
A plane-wave DFT calculation with PBE was carried out for a geometry-optimized InP2H6NO8 structure.

Unit cell a=9.988 b=8.449 c=9.597 alpha=90.00 beta=116.45 gamma=90.00
Space group P2_1/c (No. 14)
One atom of each set of equivalent atoms:
In 0.246 0.116 0.006 [4 per cell]
P 0.013 0.184 0.173 [4 per cell]
P 0.419 0.068 0.768 [4 per cell]
H 0.009 0.174 0.480 [4 per cell]
H 0.235 0.602 0.180 [4 per cell]
H 0.263 0.708 0.906 [4 per cell]
H 0.337 0.528 0.980 [4 per cell]
H 0.348 0.596 0.818 [4 per cell]
H 0.448 0.687 0.990 [4 per cell]
N 0.348 0.629 0.923 [4 per cell]
O 0.019 0.659 0.932 [4 per cell]
O 0.064 0.239 0.343 [4 per cell]
O 0.133 0.088 0.152 [4 per cell]
O 0.138 0.598 0.377 [4 per cell]
O 0.344 0.606 0.232 [4 per cell]
O 0.353 0.156 0.612 [4 per cell]
O 0.389 0.151 0.894 [4 per cell]
O 0.414 0.534 0.678 [4 per cell]

Calculated values
Crystal system: monoclinic
Offset from the most stable computed form (kJ/mol of formula units): 0
Calculated density (g cm⁻³): 2.98
Energy relative to the elements (eV per formula unit): -32.17

***

(2)
A plane-wave DFT calculation with PBE was carried out for a geometry-optimized InPH5NO5 structure.

Unit cell a=9.485 b=9.485 c=11.424 alpha=90.00 beta=90.00 gamma=90.00
Space group P4_32_12 (No. 96)
One atom of each set of equivalent atoms:
In 0.095 0.095 0.000 [4 per cell]
In 0.152 0.848 0.250 [4 per cell]
P 0.166 0.307 0.757 [8 per cell]
H 0.010 0.558 0.777 [8 per cell]
H 0.019 0.717 0.714 [8 per cell]
H 0.062 0.113 0.600 [8 per cell]
H 0.075 0.300 0.336 [8 per cell]
H 0.109 0.685 0.839 [8 per cell]
N 0.016 0.665 0.793 [8 per cell]
O 0.003 0.325 0.750 [8 per cell]
O 0.012 0.951 0.126 [8 per cell]
O 0.047 0.729 0.532 [8 per cell]
O 0.205 0.208 0.141 [8 per cell]
O 0.224 0.241 0.640 [8 per cell]

Calculated values
Crystal system: tetragonal
Calculated density (g cm⁻³): 3.16
Energy relative to the elements (eV per formula unit): -20.60

***

(3)
A plane-wave DFT calculation with PBE was carried out for a geometry-optimized InP2H6NO8 structure.

Unit cell a=9.966 b=8.618 c=9.525 alpha=90.00 beta=117.88 gamma=90.00
Space group P2_1/c (No. 14)
One atom of each set of equivalent atoms:
In 0.244 0.117 0.256 [4 per cell]
P 0.109 0.051 0.851 [4 per cell]
P 0.498 0.685 0.864 [4 per cell]
H 0.035 0.696 0.043 [4 per cell]
H 0.116 0.610 0.942 [4 per cell]
H 0.166 0.552 0.128 [4 per cell]
H 0.216 0.732 0.097 [4 per cell]
H 0.305 0.625 0.408 [4 per cell]
H 0.494 0.207 0.872 [4 per cell]
N 0.134 0.647 0.054 [4 per cell]
O 0.059 0.510 0.760 [4 per cell]
O 0.126 0.137 0.000 [4 per cell]
O 0.167 0.147 0.754 [4 per cell]
O 0.195 0.609 0.394 [4 per cell]
O 0.358 0.591 0.750 [4 per cell]
O 0.367 0.093 0.513 [4 per cell]
O 0.449 0.243 0.262 [4 per cell]
O 0.458 0.678 0.441 [4 per cell]

Calculated values
Crystal system: monoclinic
Offset from the most stable computed form (kJ/mol of formula units): 14
Calculated density (g cm⁻³): 2.98
Energy relative to the elements (eV per formula unit): -32.03

***

(4)
A plane-wave DFT calculation with PBE was carried out for a geometry-optimized InPH4NO5 structure.

Unit cell a=9.579 b=9.579 c=11.217 alpha=90.00 beta=90.00 gamma=90.00
Space group P4_32_12 (No. 96)
One atom of each set of equivalent atoms:
In 0.096 0.096 0.000 [4 per cell]
In 0.154 0.846 0.250 [4 per cell]
P 0.161 0.314 0.755 [8 per cell]
H 0.018 0.605 0.868 [8 per cell]
H 0.057 0.630 0.724 [8 per cell]
H 0.059 0.766 0.818 [8 per cell]
H 0.096 0.303 0.288 [8 per cell]
N 0.009 0.673 0.798 [8 per cell]
O 0.001 0.327 0.739 [8 per cell]
O 0.009 0.973 0.143 [8 per cell]
O 0.039 0.720 0.532 [8 per cell]
O 0.200 0.218 0.862 [8 per cell]
O 0.234 0.249 0.644 [8 per cell]

Calculated values
Crystal system: tetragonal
Calculated density (g cm⁻³): 3.15
Energy relative to the elements (eV per formula unit): -17.40

***

(5)
A plane-wave DFT calculation with PBE was carried out for a geometry-optimized InRe4H8NO20 structure.

Unit cell a=12.430 b=12.430 c=6.160 alpha=90.00 beta=90.00 gamma=90.00
Space group P-4n2 (No. 118)
One atom of each set of equivalent atoms:
In 0.000 0.500 0.250 [2 per cell]
Re 0.093 0.225 0.978 [8 per cell]
H 0.013 0.694 0.528 [8 per cell]
H 0.135 0.672 0.456 [8 per cell]
N 0.000 0.000 0.500 [2 per cell]
O 0.021 0.143 0.155 [8 per cell]
O 0.050 0.205 0.709 [8 per cell]
O 0.060 0.645 0.445 [8 per cell]
O 0.068 0.362 0.044 [8 per cell]
O 0.199 0.769 0.998 [8 per cell]

Calculated values
Crystal system: tetragonal
Calculated density (g cm⁻³): 4.19
Energy relative to the elements (eV per formula unit): -51.50

***

Q: What is the energy relative to the elements in the fourth record?
A: -17.40 eV per formula unit